Computed, not measured: a relaxed structure of La3Nd at the PBE level of DFT.

a = 6.4786 Å, b = 6.4786 Å, c = 6.4786 Å
α = 132.10°, β = 132.10°, γ = 70.07°
Atoms (fractional coordinates):
La 0.7500 0.2500 0.5000
La 0.2500 0.7500 0.5000
La 0.5000 0.5000 0.0000
Nd 0.0000 0.0000 0.0000

**Formation energy**: 0.0205 eV/atom



Computed, not measured: a relaxed structure of LaNdNi10 at the PBE level of DFT.

a = 3.9613 Å, b = 4.9629 Å, c = 8.5680 Å
α = 90.00°, β = 90.00°, γ = 90.00°
Atoms (fractional coordinates):
La 0.0000 0.0000 0.0000
Nd 0.0000 0.5000 0.5000
Ni 0.0000 0.0000 0.3336
Ni 0.0000 0.5000 0.8328
Ni 0.0000 0.5000 0.1672
Ni 0.0000 0.0000 0.6664
Ni 0.5000 0.5000 0.0000
Ni 0.5000 0.0000 0.5000
Ni 0.5000 0.2515 0.2524
Ni 0.5000 0.7485 0.7476
Ni 0.5000 0.7485 0.2524
Ni 0.5000 0.2515 0.7476

**Formation energy**: -0.2788 eV/atom



Computed, not measured: a relaxed structure of LaNdNi2 at the PBE level of DFT.

a = 3.7782 Å, b = 7.0119 Å, c = 12.1322 Å
α = 90.37°, β = 89.94°, γ = 90.07°
Atoms (fractional coordinates):
La 0.5000 0.9982 0.5005
La 0.5000 0.5019 0.9995
La 0.5000 0.2499 0.2500
Nd 0.5000 0.7501 0.7500
Nd 0.5000 0.7499 0.2500
Nd 0.5000 0.2499 0.7500
Ni 0.0001 0.0021 0.3332
Ni 0.9999 0.5007 0.8342
Ni 0.9999 0.4977 0.1668
Ni 0.0001 0.9994 0.6657
Ni 0.0000 0.9994 0.9996
Ni 0.0000 0.5007 0.5004

**Formation energy**: 0.3317 eV/atom



Computed, not measured: a relaxed structure of La4Nd4S4O7 at the PBE level of DFT.

a = 7.9825 Å, b = 7.9825 Å, c = 9.8091 Å
α = 52.67°, β = 52.67°, γ = 60.63°
Atoms (fractional coordinates):
La 0.1884 0.1884 0.8334
La 0.6945 0.6945 0.8212
La 0.1754 0.6947 0.3396
La 0.6947 0.1754 0.3396
Nd 0.8025 0.3012 0.6669
Nd 0.3012 0.8025 0.6669
Nd 0.2962 0.2962 0.1669
Nd 0.8018 0.8018 0.1660
S 0.9936 0.4981 0.0003
S 0.4981 0.9936 0.0003
S 0.4981 0.4981 0.4981
S 0.0005 0.0005 0.5014
O 0.0116 0.0116 0.8345
O 0.5131 0.5131 0.8392
O 0.5140 0.0206 0.3299
O 0.0206 0.5140 0.3299
O 0.9761 0.4725 0.6674
O 0.4725 0.9761 0.6674
O 0.9759 0.9759 0.1645

**Formation energy**: -3.3212 eV/atom



Computed, not measured: a relaxed structure of La3Ni at the PBE level of DFT.

a = 6.6173 Å, b = 7.1631 Å, c = 10.1556 Å
α = 90.00°, β = 90.00°, γ = 90.00°
Atoms (fractional coordinates):
La 0.3282 0.6722 0.0671
La 0.1718 0.1722 0.4329
La 0.6718 0.3278 0.5671
La 0.8282 0.8278 0.9329
La 0.6718 0.3278 0.9329
La 0.8282 0.8278 0.5671
La 0.3282 0.6722 0.4329
La 0.1718 0.1722 0.0671
La 0.8563 0.5378 0.2500
La 0.6437 0.0378 0.2500
La 0.1437 0.4622 0.7500
La 0.3563 0.9622 0.7500
Ni 0.0697 0.8848 0.2500
Ni 0.4303 0.3848 0.2500
Ni 0.9303 0.1152 0.7500
Ni 0.5697 0.6152 0.7500

**Formation energy**: -0.1851 eV/atom



Computed, not measured: a relaxed structure of La4Ni at the PBE level of DFT.

a = 7.9462 Å, b = 7.9462 Å, c = 7.9462 Å
α = 60.00°, β = 60.00°, γ = 60.00°
Atoms (fractional coordinates):
La 0.6147 0.6147 0.6147
La 0.1560 0.6147 0.6147
La 0.6147 0.1560 0.6147
La 0.5940 0.1353 0.1353
La 0.1353 0.1353 0.1353
La 0.6147 0.6147 0.1560
La 0.1353 0.5940 0.1353
La 0.1353 0.1353 0.5940
Ni 0.0000 0.0000 0.0000
Ni 0.7500 0.7500 0.7500

**Formation energy**: 0.1449 eV/atom



Computed, not measured: a relaxed structure of LaNi3 at the PBE level of DFT.

a = 8.8277 Å, b = 8.8277 Å, c = 8.8277 Å
α = 33.18°, β = 33.18°, γ = 33.18°
Atoms (fractional coordinates):
La 0.8619 0.8619 0.8619
La 0.1381 0.1381 0.1381
La 0.0000 0.0000 0.0000
Ni 0.4199 0.4199 0.9180
Ni 0.9180 0.4199 0.4199
Ni 0.4199 0.9180 0.4199
Ni 0.5000 0.5000 0.5000
Ni 0.3324 0.3324 0.3324
Ni 0.6676 0.6676 0.6676
Ni 0.0820 0.5801 0.5801
Ni 0.5801 0.5801 0.0820
Ni 0.5801 0.0820 0.5801

**Formation energy**: -0.3237 eV/atom



Computed, not measured: a relaxed structure of LaNi2 at the PBE level of DFT.

a = 5.1983 Å, b = 5.1983 Å, c = 5.1983 Å
α = 60.00°, β = 60.00°, γ = 60.00°
Atoms (fractional coordinates):
La 0.7500 0.7500 0.7500
La 0.5000 0.5000 0.5000
Ni 0.1250 0.1250 0.6250
Ni 0.1250 0.6250 0.1250
Ni 0.1250 0.1250 0.1250
Ni 0.6250 0.1250 0.1250

**Formation energy**: -0.3189 eV/atom



Computed, not measured: a relaxed structure of LaNi5 at the PBE level of DFT.

a = 3.9557 Å, b = 4.9991 Å, c = 4.9991 Å
α = 60.00°, β = 90.00°, γ = 90.00°
Atoms (fractional coordinates):
La 0.0000 0.0000 0.0000
Ni 0.0000 0.3333 0.3333
Ni 0.0000 0.6667 0.6667
Ni 0.5000 0.0000 0.5000
Ni 0.5000 0.5000 0.5000
Ni 0.5000 0.5000 0.0000

**Formation energy**: -0.2817 eV/atom



Computed, not measured: a relaxed structure of La3Ni7P5 at the PBE level of DFT.

a = 3.9622 Å, b = 16.6326 Å, c = 16.6333 Å
α = 60.12°, β = 90.00°, γ = 90.00°
Atoms (fractional coordinates):
La 0.5000 0.6474 0.1197
La 0.5000 0.2328 0.6471
La 0.5000 0.1208 0.2360
La 0.0000 0.3555 0.8788
La 0.0000 0.7649 0.3544
La 0.0000 0.8797 0.7663
La 0.5000 0.4420 0.3827
La 0.5000 0.1755 0.4422
La 0.5000 0.3836 0.1747
La 0.0000 0.5582 0.6169
La 0.0000 0.8251 0.5580
La 0.0000 0.6167 0.8252
Ni 0.5000 0.5650 0.9873
Ni 0.5000 0.4469 0.5656
Ni 0.5000 0.9869 0.4471
Ni 0.0000 0.4348 0.0130
Ni 0.0000 0.5512 0.4357
Ni 0.0000 0.0136 0.5528
Ni 0.5000 0.8286 0.9332
Ni 0.5000 0.2388 0.8276
Ni 0.5000 0.9262 0.2464
Ni 0.0000 0.1739 0.0745
Ni 0.0000 0.7526 0.1752
Ni 0.0000 0.0740 0.7510
Ni 0.5000 0.7752 0.7177
Ni 0.5000 0.5067 0.7754
Ni 0.5000 0.7170 0.5078
Ni 0.0000 0.2250 0.2829
Ni 0.0000 0.4933 0.2247
Ni 0.0000 0.2824 0.4929
Ni 0.5000 0.6590 0.2973
Ni 0.5000 0.0429 0.6601
Ni 0.5000 0.2994 0.0420
Ni 0.0000 0.3468 0.6969
Ni 0.0000 0.9579 0.3428
Ni 0.0000 0.6976 0.9562
Ni 0.5000 0.0576 0.0889
Ni 0.0000 0.1499 0.9422
Ni 0.0000 0.9092 0.1507
Ni 0.0000 0.9389 0.9040
P 0.5000 0.6664 0.6671
P 0.0000 0.3335 0.3333
P 0.5000 0.9311 0.6079
P 0.5000 0.4613 0.9312
P 0.5000 0.6074 0.4614
P 0.0000 0.0692 0.3933
P 0.0000 0.5393 0.0691
P 0.0000 0.3915 0.5386
P 0.5000 0.9845 0.8200
P 0.5000 0.2009 0.9795
P 0.5000 0.8185 0.1957
P 0.0000 0.0201 0.1818
P 0.0000 0.7966 0.0170
P 0.0000 0.1865 0.7968
P 0.5000 0.7227 0.8758
P 0.5000 0.4018 0.7229
P 0.5000 0.8742 0.4028
P 0.0000 0.2779 0.1253
P 0.0000 0.5971 0.2783
P 0.0000 0.1259 0.5963

**Formation energy**: -0.9198 eV/atom



Computed, not measured: a relaxed structure of La2Ni12P5 at the PBE level of DFT.

a = 3.6875 Å, b = 10.9263 Å, c = 13.1522 Å
α = 72.16°, β = 90.00°, γ = 90.00°
Atoms (fractional coordinates):
La 0.2500 0.7474 0.1880
La 0.7500 0.2526 0.8120
La 0.2500 0.7789 0.6833
La 0.7500 0.2211 0.3167
Ni 0.2500 0.5721 0.0145
Ni 0.2500 0.5657 0.4483
Ni 0.7500 0.5063 0.3410
Ni 0.2500 0.4937 0.6590
Ni 0.7500 0.5108 0.1508
Ni 0.2500 0.4892 0.8492
Ni 0.7500 0.4343 0.5517
Ni 0.2500 0.3441 0.1352
Ni 0.7500 0.6567 0.5615
Ni 0.2500 0.3433 0.4385
Ni 0.7500 0.9055 0.3050
Ni 0.2500 0.0945 0.6950
Ni 0.7500 0.9191 0.9903
Ni 0.2500 0.0809 0.0097
Ni 0.7500 0.9216 0.4903
Ni 0.2500 0.0784 0.5097
Ni 0.7500 0.9394 0.7964
Ni 0.2500 0.0606 0.2036
Ni 0.2500 0.7867 0.4381
Ni 0.7500 0.2133 0.5619
Ni 0.2500 0.7986 0.9185
Ni 0.7500 0.2014 0.0815
Ni 0.7500 0.6559 0.8648
Ni 0.7500 0.4279 0.9855
P 0.2500 0.0074 0.8714
P 0.7500 0.9926 0.1286
P 0.2500 0.3001 0.9839
P 0.7500 0.6999 0.0161
P 0.2500 0.4517 0.2594
P 0.7500 0.5483 0.7406
P 0.2500 0.9919 0.3788
P 0.7500 0.0081 0.6212
P 0.2500 0.3113 0.6120
P 0.7500 0.6887 0.3880

**Formation energy**: -0.6944 eV/atom



Computed, not measured: a relaxed structure of LaNiP at the PBE level of DFT.

a = 4.0506 Å, b = 4.0506 Å, c = 16.1260 Å
α = 90.00°, β = 90.00°, γ = 120.00°
Atoms (fractional coordinates):
La 0.0000 0.0000 0.5000
La 0.0000 0.0000 0.0000
La 0.0000 0.0000 0.2500
La 0.0000 0.0000 0.7500
Ni 0.3333 0.6667 0.3751
Ni 0.6667 0.3333 0.6249
Ni 0.6667 0.3333 0.8751
Ni 0.3333 0.6667 0.1249
P 0.3333 0.6667 0.8766
P 0.6667 0.3333 0.1234
P 0.6667 0.3333 0.3766
P 0.3333 0.6667 0.6234

**Formation energy**: -1.1679 eV/atom



Computed, not measured: a relaxed structure of La12Ni6Pb at the PBE level of DFT.

a = 8.9474 Å, b = 8.9474 Å, c = 8.9474 Å
α = 109.47°, β = 109.47°, γ = 109.47°
Atoms (fractional coordinates):
La 0.8141 0.6894 0.5035
La 0.1859 0.3106 0.4965
La 0.1859 0.6894 0.8753
La 0.8141 0.3106 0.1247
La 0.6894 0.5035 0.8141
La 0.3106 0.4965 0.1859
La 0.6894 0.8753 0.1859
La 0.3106 0.1247 0.8141
La 0.5035 0.8141 0.6894
La 0.4965 0.1859 0.3106
La 0.1247 0.8141 0.3106
La 0.8753 0.1859 0.6894
Ni 0.8778 0.3778 0.5000
Ni 0.1222 0.6222 0.5000
Ni 0.3778 0.5000 0.8778
Ni 0.6222 0.5000 0.1222
Ni 0.5000 0.8778 0.3778
Ni 0.5000 0.1222 0.6222
Pb 0.0000 0.0000 0.0000

**Formation energy**: -0.3086 eV/atom



Computed, not measured: a relaxed structure of La5NiPb3 at the PBE level of DFT.

a = 9.6488 Å, b = 9.6488 Å, c = 7.1951 Å
α = 90.00°, β = 90.00°, γ = 120.00°
Atoms (fractional coordinates):
La 0.2382 0.0000 0.2500
La 0.2382 0.2382 0.7500
La 0.0000 0.7618 0.7500
La 0.0000 0.2382 0.2500
La 0.7618 0.7618 0.2500
La 0.7618 0.0000 0.7500
La 0.3333 0.6667 0.0000
La 0.6667 0.3333 0.5000
La 0.6667 0.3333 0.0000
La 0.3333 0.6667 0.5000
Ni 0.0000 0.0000 0.0000
Ni 0.0000 0.0000 0.5000
Pb 0.5980 0.0000 0.2500
Pb 0.5980 0.5980 0.7500
Pb 0.0000 0.4020 0.7500
Pb 0.0000 0.5980 0.2500
Pb 0.4020 0.4020 0.2500
Pb 0.4020 0.0000 0.7500

**Formation energy**: -0.5414 eV/atom



Computed, not measured: a relaxed structure of LaNi4Pt at the PBE level of DFT.

a = 5.1812 Å, b = 5.1812 Å, c = 4.0360 Å
α = 90.00°, β = 90.00°, γ = 123.23°
Atoms (fractional coordinates):
La 0.5000 0.5000 0.0000
Ni 0.1830 0.8170 0.0000
Ni 0.8170 0.1830 0.0000
Ni 0.0000 0.5000 0.5000
Ni 0.5000 0.0000 0.5000
Pt 0.0000 0.0000 0.5000

**Formation energy**: -0.4526 eV/atom



Computed, not measured: a relaxed structure of LaNi2Rh3 at the PBE level of DFT.

a = 5.3103 Å, b = 5.3103 Å, c = 4.0597 Å
α = 90.00°, β = 90.00°, γ = 120.00°
Atoms (fractional coordinates):
La 0.0000 0.0000 0.0000
Ni 0.6667 0.3333 0.0000
Ni 0.3333 0.6667 0.0000
Rh 0.5000 0.5000 0.5000
Rh 0.5000 0.0000 0.5000
Rh 0.0000 0.5000 0.5000

**Formation energy**: -0.3617 eV/atom



Computed, not measured: a relaxed structure of LaNiSb at the PBE level of DFT.

a = 4.4343 Å, b = 4.4343 Å, c = 8.3938 Å
α = 90.00°, β = 90.00°, γ = 120.00°
Atoms (fractional coordinates):
La 0.0000 0.0000 0.5000
La 0.0000 0.0000 0.0000
Ni 0.6667 0.3333 0.2500
Ni 0.3333 0.6667 0.7500
Sb 0.3333 0.6667 0.2500
Sb 0.6667 0.3333 0.7500

**Formation energy**: -0.9463 eV/atom



Computed, not measured: a relaxed structure of La3Si7Ni3 at the PBE level of DFT.

a = 13.2010 Å, b = 13.2010 Å, c = 4.2218 Å
α = 90.00°, β = 90.00°, γ = 161.94°
Atoms (fractional coordinates):
La 0.0009 0.9991 0.0000
La 0.6859 0.3141 0.5000
La 0.3179 0.6821 0.5000
Si 0.5940 0.4060 0.0000
Si 0.4086 0.5914 0.0000
Si 0.7765 0.2235 0.0000
Si 0.2243 0.7757 0.0000
Si 0.9086 0.0914 0.5000
Si 0.0947 0.9053 0.5000
Si 0.5385 0.4615 0.5000
Ni 0.8664 0.1336 0.0000
Ni 0.1326 0.8674 0.0000
Ni 0.4511 0.5489 0.5000

**Formation energy**: -0.7787 eV/atom